The following is a PBE calculation of a relaxed Sr25Ti39O103 crystal, from Materials Project.

a b c (Å): 5.641 19.604 30.066
angles (deg): 90.00 90.51 90.00
Positions (direct):
O 0.553 0.856 0.318
O 0.553 0.144 0.318
O 0.992 0.000 0.193
O 0.691 0.500 0.857
Ti 0.654 0.912 0.711
O 0.761 0.900 0.049
Ti 0.000 0.298 0.000
O 0.965 0.588 0.296
O 0.492 0.601 0.912
Sr 0.000 0.399 0.089
O 0.727 0.704 0.041
O 0.761 0.100 0.049
O 0.273 0.296 0.959
O 0.769 0.500 0.766
Ti 0.504 0.500 0.092
Ti 0.504 0.699 0.092
O 0.499 0.802 0.095
O 0.515 0.000 0.093
Ti 0.847 0.844 0.295
O 0.946 0.244 0.305
Sr 0.510 0.795 0.189
O 0.066 0.095 0.317
O 0.000 0.602 0.000
Sr 0.000 0.601 0.911
O 0.246 0.907 0.140
Sr 0.999 0.000 0.906
O 0.774 0.703 0.949
Ti 0.005 0.898 0.187
Sr 0.507 0.403 0.806
Ti 0.504 0.301 0.092
Ti 0.500 0.900 0.094
O 0.499 0.198 0.095
Ti 0.000 0.500 0.000
O 0.447 0.144 0.682
O 0.790 0.701 0.131
Sr 0.500 0.803 0.000
Ti 0.995 0.898 0.813
Ti 0.016 0.699 0.179
O 0.000 0.398 0.000
Sr 0.000 0.601 0.089
O 0.693 0.696 0.855
O 0.208 0.873 0.763
Sr 0.002 0.197 0.092
Sr 0.000 0.399 0.911
O 0.714 0.890 0.769
O 0.236 0.500 0.774
O 0.744 0.099 0.145
O 0.971 0.203 0.822
O 0.286 0.890 0.231
O 0.740 0.099 0.954
Sr 0.490 0.795 0.811
O 0.501 0.198 0.905
O 0.775 0.688 0.765
O 0.270 0.500 0.960
O 0.029 0.797 0.178
O 0.730 0.500 0.040
O 0.286 0.110 0.231
Sr 0.493 0.597 0.194
Sr 0.001 0.000 0.094
O 0.208 0.127 0.763
O 0.035 0.588 0.704
Ti 0.016 0.301 0.179
O 0.239 0.900 0.951
Ti 0.011 0.500 0.177
O 0.239 0.690 0.773
Ti 0.000 0.099 0.000
O 0.985 0.402 0.825
Sr 0.500 0.197 0.000
O 0.227 0.500 0.051
O 0.764 0.500 0.226
O 0.226 0.703 0.051
O 0.066 0.905 0.317
O 0.309 0.500 0.143
Ti 0.023 0.677 0.728
O 0.754 0.093 0.860
O 0.008 0.000 0.807
O 0.508 0.399 0.088
O 0.015 0.598 0.175
O 0.015 0.402 0.175
Sr 0.002 0.803 0.092
O 0.307 0.304 0.145
O 0.307 0.696 0.145
O 0.740 0.901 0.954
Ti 0.023 0.323 0.728
O 0.789 0.500 0.130
O 0.934 0.905 0.683
O 0.273 0.704 0.959
O 0.211 0.500 0.870
Sr 0.500 0.399 0.000
Ti 0.983 0.500 0.271
O 0.774 0.297 0.949
Ti 0.496 0.699 0.908
O 0.754 0.907 0.860
O 0.971 0.797 0.822
O 0.447 0.856 0.682
O 0.792 0.873 0.237
Ti 0.977 0.677 0.272
Sr 0.500 0.601 0.000
O 0.985 0.598 0.825
Ti 0.000 0.702 0.000
O 0.239 0.100 0.951
O 0.000 0.000 0.000
Ti 0.847 0.156 0.295
Ti 0.654 0.088 0.711
O 0.501 0.802 0.905
Ti 0.000 0.901 0.000
Ti 0.005 0.102 0.187
O 0.965 0.412 0.296
O 0.225 0.688 0.235
Ti 0.989 0.500 0.823
Sr 0.490 0.205 0.811
Ti 0.500 0.100 0.094
Ti 0.017 0.500 0.729
O 0.029 0.203 0.178
O 0.000 0.802 0.000
O 0.714 0.110 0.769
Ti 0.346 0.088 0.289
O 0.775 0.312 0.765
O 0.210 0.701 0.869
O 0.226 0.297 0.051
Sr 0.507 0.597 0.806
O 0.000 0.198 0.000
Ti 0.977 0.323 0.272
O 0.231 0.500 0.234
O 0.761 0.690 0.227
O 0.260 0.099 0.046
O 0.790 0.299 0.131
Sr 0.493 0.403 0.194
Ti 0.984 0.301 0.821
Ti 0.496 0.500 0.908
O 0.761 0.310 0.227
O 0.462 0.000 0.283
Sr 0.500 0.000 0.000
Ti 0.153 0.156 0.705
O 0.246 0.093 0.140
Ti 0.346 0.912 0.289
O 0.946 0.756 0.305
Sr 0.505 0.000 0.190
Ti 0.496 0.301 0.908
O 0.054 0.244 0.695
Sr 0.998 0.803 0.908
Ti 0.500 0.100 0.906
O 0.508 0.601 0.088
Ti 0.500 0.900 0.906
O 0.792 0.127 0.237
O 0.256 0.099 0.855
Sr 0.510 0.205 0.189
Ti 0.153 0.844 0.705
O 0.054 0.756 0.695
O 0.239 0.310 0.773
Sr 0.495 0.000 0.810
O 0.260 0.901 0.046
Sr 0.998 0.197 0.908
O 0.538 0.000 0.717
O 0.727 0.296 0.041
O 0.773 0.500 0.949
O 0.210 0.299 0.869
O 0.693 0.304 0.855
O 0.744 0.901 0.145
O 0.225 0.312 0.235
Ti 0.995 0.102 0.813
O 0.035 0.412 0.704
O 0.492 0.399 0.912
Ti 0.984 0.699 0.821
O 0.934 0.095 0.683
O 0.485 0.000 0.907
O 0.256 0.901 0.855

Results
Final energy in eV for the cell shown: -1373.2
Calculated formation energy in eV per atom: -3.498